! Th7Fe3 | the Materials Project | PBE-GGA | optimized geometry; values from VASP
! SG = P6_3mc, No. 186
! Crystal system = hexagonal
! E = -157.1 eV/cell
&SYSTEM
  ibrav = 0, nat = 20, ntyp = 2
/
ATOMIC_SPECIES
Th 232.04 Th.upf
Fe 55.84 Fe.upf
ATOMIC_POSITIONS crystal
Th 0.3333 0.6667 0.0309
Th 0.6667 0.3333 0.5309
Th 0.1249 0.8751 0.2499
Th 0.2498 0.1249 0.7499
Th 0.8751 0.7502 0.7499
Th 0.1249 0.2498 0.2499
Th 0.7502 0.8751 0.2499
Th 0.8751 0.1249 0.7499
Th 0.5421 0.4579 0.0567
Th 0.0843 0.5421 0.5567
Th 0.4579 0.9157 0.5567
Th 0.5421 0.0843 0.0567
Th 0.9157 0.4579 0.0567
Th 0.4579 0.5421 0.5567
Fe 0.8152 0.1848 0.2931
Fe 0.6305 0.8152 0.7931
Fe 0.1848 0.3695 0.7931
Fe 0.8152 0.6305 0.2931
Fe 0.3695 0.1848 0.2931
Fe 0.1848 0.8152 0.7931
CELL_PARAMETERS angstrom
-8.8976 3.6917 0.9851
1.1401 -9.2643 -2.5768
-0.0297 -1.6739 6.0051

! DyMgSe3 | the Materials Project | PBE-GGA | optimized geometry; values from VASP
! E = -88.8 eV/cell
&SYSTEM
  ibrav = 0, nat = 20, ntyp = 3
/
ATOMIC_SPECIES
Dy 162.50 Dy.upf
Mg 24.30 Mg.upf
Se 78.96 Se.upf
ATOMIC_POSITIONS crystal
Dy 0.1229 0.0000 0.3173
Dy 0.8771 0.0000 0.6827
Dy 0.6229 0.5000 0.3173
Dy 0.3771 0.5000 0.6827
Mg 0.0000 0.3380 0.0000
Mg 0.0000 0.6620 0.0000
Mg 0.5000 0.8380 0.0000
Mg 0.5000 0.1620 0.0000
Se 0.2534 0.1705 0.2030
Se 0.7466 0.8295 0.7970
Se 0.7466 0.1705 0.7970
Se 0.2534 0.8295 0.2030
Se 0.7534 0.6705 0.2030
Se 0.2466 0.3295 0.7970
Se 0.2466 0.6705 0.7970
Se 0.7534 0.3295 0.2030
Se 0.2836 0.0000 0.7438
Se 0.7164 0.0000 0.2562
Se 0.7836 0.5000 0.7438
Se 0.2164 0.5000 0.2562
CELL_PARAMETERS angstrom
6.7029 0.0000 -2.8722
0.0000 12.9329 0.0000
-1.3752 0.0000 7.3683

! TiZnAsO5 | the Materials Project | PBE-GGA | optimized geometry; values from VASP
! SG = P2_12_12_1, No. 19
! Crystal system = orthorhombic
! E = -209.7 eV/cell
&SYSTEM
  ibrav = 0, nat = 32, ntyp = 4
/
ATOMIC_SPECIES
Ti 47.87 Ti.upf
Zn 65.41 Zn.upf
As 74.92 As.upf
O 16.00 O.upf
ATOMIC_POSITIONS crystal
Ti 0.2596 0.7529 0.0059
Ti 0.2404 0.2471 0.5059
Ti 0.7404 0.2529 0.4941
Ti 0.7596 0.7471 0.9941
Zn 0.0531 0.8160 0.6845
Zn 0.4469 0.1840 0.1845
Zn 0.9469 0.3160 0.8155
Zn 0.5531 0.6840 0.3155
As 0.4879 0.0977 0.8223
As 0.0121 0.9023 0.3223
As 0.5121 0.5977 0.6777
As 0.9879 0.4023 0.1777
O 0.5106 0.9015 0.9110
O 0.9894 0.0985 0.4110
O 0.4894 0.4015 0.5890
O 0.0106 0.5985 0.0890
O 0.4489 0.2414 0.9700
O 0.0511 0.7586 0.4700
O 0.5511 0.7414 0.5300
O 0.9489 0.2586 0.0300
O 0.7286 0.1377 0.7160
O 0.7714 0.8623 0.2160
O 0.2714 0.6377 0.7840
O 0.2286 0.3623 0.2840
O 0.2627 0.0928 0.6936
O 0.2373 0.9072 0.1936
O 0.7373 0.5928 0.8064
O 0.7627 0.4072 0.3064
O 0.9987 0.8641 0.8996
O 0.5013 0.1359 0.3996
O 0.0013 0.3641 0.6004
O 0.4987 0.6359 0.1004
CELL_PARAMETERS angstrom
6.0956 0.0000 0.0000
0.0000 8.1148 0.0000
0.0000 0.0000 8.5163

! Al2Si2H4O9 | the Materials Project | PBE-GGA | optimized geometry; values from VASP
! SG = Cc, No. 9
! Crystal system = monoclinic
! E = -229.3 eV/cell
&SYSTEM
  ibrav = 0, nat = 34, ntyp = 4
/
ATOMIC_SPECIES
Al 26.98 Al.upf
Si 28.09 Si.upf
H 1.01 H.upf
O 16.00 O.upf
ATOMIC_POSITIONS crystal
Al 0.1690 0.6599 0.2692
Al 0.6599 0.1690 0.7692
Al 0.8391 0.0011 0.2709
Al 0.0011 0.8391 0.7709
Si 0.4145 0.6125 0.4606
Si 0.6125 0.4145 0.9606
Si 0.0726 0.9273 0.4613
Si 0.9273 0.0726 0.9613
H 0.6760 0.3097 0.3460
H 0.3097 0.6760 0.8460
H 0.5550 0.0372 0.1417
H 0.0372 0.5550 0.6417
H 0.2562 0.3609 0.1482
H 0.3609 0.2562 0.6482
H 0.8647 0.6988 0.1436
H 0.6988 0.8647 0.6436
O 0.1979 0.7223 0.5081
O 0.7223 0.1979 0.0081
O 0.7295 0.7857 0.5084
O 0.7857 0.7295 0.0084
O 0.2716 0.2598 0.4950
O 0.2598 0.2716 0.9950
O 0.4702 0.6888 0.3497
O 0.6888 0.4702 0.8497
O 0.0874 0.9230 0.3502
O 0.9230 0.0874 0.8502
O 0.8624 0.3091 0.3439
O 0.3091 0.8624 0.8439
O 0.5237 0.9621 0.2063
O 0.9621 0.5237 0.7063
O 0.1384 0.3503 0.2034
O 0.3503 0.1384 0.7034
O 0.9117 0.7407 0.2065
O 0.7407 0.9117 0.7065
CELL_PARAMETERS angstrom
0.3065 -5.0491 -1.3121
3.8612 2.2446 2.7133
-5.2978 -4.4982 12.8283

! LaF3 | the Materials Project | PBE-GGA | optimized geometry; values from VASP
! SG = P-3c1, No. 165
! Crystal system = trigonal
! E = -163.5 eV/cell
&SYSTEM
  ibrav = 0, nat = 24, ntyp = 2
/
ATOMIC_SPECIES
La 138.91 La.upf
F 19.00 F.upf
ATOMIC_POSITIONS crystal
La 0.3427 0.3427 0.7500
La 0.0000 0.6573 0.7500
La 0.6573 0.0000 0.7500
La 0.6573 0.6573 0.2500
La 0.0000 0.3427 0.2500
La 0.3427 0.0000 0.2500
F 0.0000 0.0000 0.7500
F 0.0000 0.0000 0.2500
F 0.3333 0.6667 0.8149
F 0.6667 0.3333 0.6851
F 0.6667 0.3333 0.1851
F 0.3333 0.6667 0.3149
F 0.3095 0.9392 0.5799
F 0.0608 0.3703 0.5799
F 0.6297 0.6905 0.5799
F 0.3703 0.0608 0.9201
F 0.6905 0.6297 0.9201
F 0.9392 0.3095 0.9201
F 0.6905 0.0608 0.4201
F 0.9392 0.6297 0.4201
F 0.3703 0.3095 0.4201
F 0.6297 0.9392 0.0799
F 0.3095 0.3703 0.0799
F 0.0608 0.6905 0.0799
CELL_PARAMETERS angstrom
-0.7674 -2.7487 -6.6609
-0.1827 -4.3798 5.7702
-7.3190 0.9174 0.4646

! CoH12C2I4N2 | the Materials Project | PBE-GGA | optimized geometry; values from VASP
! SG = Pbca, No. 61
! Crystal system = orthorhombic
! E = -760.5 eV/cell
&SYSTEM
  ibrav = 0, nat = 168, ntyp = 5
/
ATOMIC_SPECIES
Co 58.93 Co.upf
H 1.01 H.upf
C 12.01 C.upf
I 126.90 I.upf
N 14.01 N.upf
ATOMIC_POSITIONS crystal
Co 0.9437 0.1162 0.3625
Co 0.4437 0.3838 0.6375
Co 0.0563 0.6162 0.1375
Co 0.5563 0.8838 0.8625
Co 0.0563 0.8838 0.6375
Co 0.5563 0.6162 0.3625
Co 0.9437 0.3838 0.8625
Co 0.4437 0.1162 0.1375
H 0.1765 0.1099 0.4721
H 0.6765 0.3901 0.5279
H 0.8235 0.6099 0.0279
H 0.3235 0.8901 0.9721
H 0.8235 0.8901 0.5279
H 0.3235 0.6099 0.4721
H 0.1765 0.3901 0.9721
H 0.6765 0.1099 0.0279
H 0.2554 0.0469 0.5268
H 0.7554 0.4531 0.4732
H 0.7446 0.5469 0.9732
H 0.2446 0.9531 0.0268
H 0.7446 0.9531 0.4732
H 0.2446 0.5469 0.5268
H 0.2554 0.4531 0.0268
H 0.7554 0.0469 0.9732
H 0.2550 0.1838 0.5219
H 0.7550 0.3162 0.4781
H 0.7450 0.6838 0.9781
H 0.2450 0.8162 0.0219
H 0.7450 0.8162 0.4781
H 0.2450 0.6838 0.5219
H 0.2550 0.3162 0.0219
H 0.7550 0.1838 0.9781
H 0.1661 0.3026 0.2792
H 0.6661 0.1974 0.7208
H 0.8339 0.8026 0.2208
H 0.3339 0.6974 0.7792
H 0.8339 0.6974 0.7208
H 0.3339 0.8026 0.2792
H 0.1661 0.1974 0.7792
H 0.6661 0.3026 0.2208
H 0.1124 0.3683 0.2175
H 0.6124 0.1317 0.7825
H 0.8876 0.8683 0.2825
H 0.3876 0.6317 0.7175
H 0.8876 0.6317 0.7825
H 0.3876 0.8683 0.2175
H 0.1124 0.1317 0.7175
H 0.6124 0.3683 0.2825
H 0.1868 0.2536 0.2069
H 0.6868 0.2464 0.7931
H 0.8132 0.7536 0.2931
H 0.3132 0.7464 0.7069
H 0.8132 0.7464 0.7931
H 0.3132 0.7536 0.2069
H 0.1868 0.2464 0.7069
H 0.6868 0.2536 0.2931
H 0.3982 0.1861 0.4499
H 0.8982 0.3139 0.5501
H 0.6018 0.6861 0.0501
H 0.1018 0.8139 0.9499
H 0.6018 0.8139 0.5501
H 0.1018 0.6861 0.4499
H 0.3982 0.3139 0.9499
H 0.8982 0.1861 0.0501
H 0.4146 0.0433 0.4661
H 0.9146 0.4567 0.5339
H 0.5854 0.5433 0.0339
H 0.0854 0.9567 0.9661
H 0.5854 0.9567 0.5339
H 0.0854 0.5433 0.4661
H 0.4146 0.4567 0.9661
H 0.9146 0.0433 0.0339
H 0.3215 0.0875 0.4044
H 0.8215 0.4125 0.5956
H 0.6785 0.5875 0.0956
H 0.1785 0.9125 0.9044
H 0.6785 0.9125 0.5956
H 0.1785 0.5875 0.4044
H 0.3215 0.4125 0.9044
H 0.8215 0.0875 0.0956
H 0.6439 0.8417 0.2996
H 0.1439 0.6583 0.7004
H 0.3561 0.3417 0.2004
H 0.8561 0.1583 0.7996
H 0.3561 0.1583 0.7004
H 0.8561 0.3417 0.2996
H 0.6439 0.6583 0.7996
H 0.1439 0.8417 0.2004
H 0.7280 0.9648 0.2994
H 0.2280 0.5352 0.7006
H 0.2720 0.4648 0.2006
H 0.7720 0.0352 0.7994
H 0.2720 0.0352 0.7006
H 0.7720 0.4648 0.2994
H 0.7280 0.5352 0.7994
H 0.2280 0.9648 0.2006
H 0.6738 0.9107 0.2275
H 0.1738 0.5893 0.7725
H 0.3262 0.4107 0.2725
H 0.8262 0.0893 0.7275
H 0.3262 0.0893 0.7725
H 0.8262 0.4107 0.2275
H 0.6738 0.5893 0.7275
H 0.1738 0.9107 0.2725
C 0.3548 0.1071 0.4510
C 0.8548 0.3929 0.5490
C 0.6452 0.6071 0.0490
C 0.1452 0.8929 0.9510
C 0.6452 0.8929 0.5490
C 0.1452 0.6071 0.4510
C 0.3548 0.3929 0.9510
C 0.8548 0.1071 0.0490
C 0.7073 0.8900 0.2738
C 0.2073 0.6100 0.7262
C 0.2927 0.3900 0.2262
C 0.7927 0.1100 0.7738
C 0.2927 0.1100 0.7262
C 0.7927 0.3900 0.2738
C 0.7073 0.6100 0.7738
C 0.2073 0.8900 0.2262
I 0.9380 0.1098 0.2422
I 0.4380 0.3902 0.7578
I 0.0620 0.6098 0.2578
I 0.5620 0.8902 0.7422
I 0.0620 0.8902 0.7578
I 0.5620 0.6098 0.2422
I 0.9380 0.3902 0.7422
I 0.4380 0.1098 0.2578
I 0.7347 0.1408 0.4094
I 0.2347 0.3592 0.5906
I 0.2653 0.6408 0.0906
I 0.7653 0.8592 0.9094
I 0.2653 0.8592 0.5906
I 0.7653 0.6408 0.4094
I 0.7347 0.3592 0.9094
I 0.2347 0.1408 0.0906
I 0.0733 0.2800 0.3940
I 0.5733 0.2200 0.6060
I 0.9267 0.7800 0.1060
I 0.4267 0.7200 0.8940
I 0.9267 0.7200 0.6060
I 0.4267 0.7800 0.3940
I 0.0733 0.2200 0.8940
I 0.5733 0.2800 0.1060
I 0.0305 0.9357 0.4006
I 0.5305 0.5643 0.5994
I 0.9695 0.4357 0.0994
I 0.4695 0.0643 0.9006
I 0.9695 0.0643 0.5994
I 0.4695 0.4357 0.4006
I 0.0305 0.5643 0.9006
I 0.5305 0.9357 0.0994
N 0.2546 0.1121 0.4959
N 0.7546 0.3879 0.5041
N 0.7454 0.6121 0.0041
N 0.2454 0.8879 0.9959
N 0.7454 0.8879 0.5041
N 0.2454 0.6121 0.4959
N 0.2546 0.3879 0.9959
N 0.7546 0.1121 0.0041
N 0.1829 0.3242 0.2331
N 0.6829 0.1758 0.7669
N 0.8171 0.8242 0.2669
N 0.3171 0.6758 0.7331
N 0.8171 0.6758 0.7669
N 0.3171 0.8242 0.2331
N 0.1829 0.1758 0.7331
N 0.6829 0.3242 0.2669
CELL_PARAMETERS angstrom
-2.8403 11.1365 0.8215
-0.4120 -1.0078 12.2383
20.7129 5.1997 1.1255

! CaTm2S4 | the Materials Project | PBE-GGA | optimized geometry; values from VASP
! SG = Cmc2_1, No. 36
! Crystal system = orthorhombic
! E = -84.2 eV/cell
&SYSTEM
  ibrav = 0, nat = 14, ntyp = 3
/
ATOMIC_SPECIES
Ca 40.08 Ca.upf
Tm 168.93 Tm.upf
S 32.06 S.upf
ATOMIC_POSITIONS crystal
Ca 0.8862 0.1138 0.0153
Ca 0.1138 0.8862 0.5153
Tm 0.3578 0.6422 0.3245
Tm 0.6422 0.3578 0.8245
Tm 0.6259 0.3741 0.1812
Tm 0.3741 0.6259 0.6812
S 0.5410 0.4590 0.9986
S 0.4590 0.5410 0.4986
S 0.7364 0.2636 0.6375
S 0.2636 0.7364 0.1375
S 0.7201 0.2799 0.3703
S 0.2799 0.7201 0.8703
S 0.9860 0.0140 0.2399
S 0.0140 0.9860 0.7399
CELL_PARAMETERS angstrom
1.9279 -6.3756 0.0000
1.9279 6.3756 0.0000
0.0000 0.0000 13.1854

! LaMg14Sb | the Materials Project | PBE-GGA | optimized geometry; values from VASP
! SG = Amm2, No. 38
! Crystal system = orthorhombic
! E = -32.5 eV/cell
&SYSTEM
  ibrav = 0, nat = 16, ntyp = 3
/
ATOMIC_SPECIES
La 138.91 La.upf
Mg 24.30 Mg.upf
Sb 121.76 Sb.upf
ATOMIC_POSITIONS crystal
La 0.1662 0.3331 0.1250
Mg 0.1658 0.3329 0.6250
Mg 0.1647 0.8324 0.6250
Mg 0.6656 0.3287 0.1250
Mg 0.6666 0.3343 0.6250
Mg 0.6656 0.8369 0.1250
Mg 0.6666 0.8323 0.6250
Mg 0.3374 0.1664 0.3841
Mg 0.3374 0.1664 0.8659
Mg 0.3374 0.6711 0.3841
Mg 0.3374 0.6711 0.8659
Mg 0.8277 0.1638 0.3824
Mg 0.8277 0.1638 0.8676
Mg 0.8310 0.6655 0.3739
Mg 0.8310 0.6655 0.8761
Sb 0.1718 0.8359 0.1250
CELL_PARAMETERS angstrom
6.5734 0.0595 0.0000
-3.2351 5.6034 0.0000
0.0000 0.0000 10.4886

no.,ΔE_f (eV per atom)
1,-0.1234
2,-1.3856
3,-2.1617
4,-2.6119
5,-4.4899
6,-0.3209
7,-2.3746
8,-0.0771